1.
VASP calculation (meta-GGA r2SCAN) on a geometry-optimized Lu6MnBi2 structure.

Cell lengths 8.0226, 8.0226, 4.3078 Å; angles 90.00, 90.00, 120.00 degrees
Fractional coordinates of all 9 atoms:
1 Lu 0.0000 0.2328 0.0000
2 Lu 0.0000 0.6104 0.5000
3 Lu 0.2328 0.0000 0.0000
4 Lu 0.3896 0.3896 0.5000
5 Lu 0.6104 0.0000 0.5000
6 Lu 0.7672 0.7672 0.0000
7 Mn 0.0000 0.0000 0.5000
8 Bi 0.3333 0.6667 0.0000
9 Bi 0.6667 0.3333 0.0000

Output
Calculated formation energy in meV per atom: -504
Calculated total energy in eV/atom: -40.522


2.
VASP calculation (meta-GGA r2SCAN) on a geometry-optimized Hf2Pd structure.

Cell lengths 3.2660, 3.2660, 10.7718 Å; angles 90.00, 90.00, 90.00 degrees
Fractional coordinates of all 6 atoms:
1 Hf 0.0000 0.0000 0.1583
2 Hf 0.0000 0.0000 0.8417
3 Hf 0.5000 0.5000 0.3417
4 Hf 0.5000 0.5000 0.6583
5 Pd 0.0000 0.0000 0.5000
6 Pd 0.5000 0.5000 0.0000

Output
Calculated formation energy in meV per atom: -532
Calculated total energy in eV/atom: -38.286


3.
VASP calculation (meta-GGA r2SCAN) on a geometry-optimized RbSm3F10 structure.

Cell lengths 8.3915, 8.3915, 8.3915 Å; angles 60.00, 60.00, 60.00 degrees
Fractional coordinates of all 28 atoms:
1 Rb 0.2500 0.2500 0.2500
2 Rb 0.7500 0.7500 0.7500
3 Sm 0.2396 0.2396 0.7604
4 Sm 0.2396 0.7604 0.2396
5 Sm 0.2396 0.7604 0.7604
6 Sm 0.7604 0.2396 0.2396
7 Sm 0.7604 0.2396 0.7604
8 Sm 0.7604 0.7604 0.2396
9 F 0.1109 0.1109 0.1109
10 F 0.1109 0.1109 0.6672
11 F 0.1109 0.6672 0.1109
12 F 0.1675 0.5000 0.5000
13 F 0.1675 0.5000 0.8325
14 F 0.1675 0.8325 0.5000
15 F 0.3328 0.8891 0.8891
16 F 0.5000 0.1675 0.5000
17 F 0.5000 0.1675 0.8325
18 F 0.5000 0.5000 0.1675
19 F 0.5000 0.5000 0.8325
20 F 0.5000 0.8325 0.1675
21 F 0.5000 0.8325 0.5000
22 F 0.6672 0.1109 0.1109
23 F 0.8325 0.1675 0.5000
24 F 0.8325 0.5000 0.1675
25 F 0.8325 0.5000 0.5000
26 F 0.8891 0.3328 0.8891
27 F 0.8891 0.8891 0.3328
28 F 0.8891 0.8891 0.8891

Output
Calculated formation energy in meV per atom: -4259
Calculated total energy in eV/atom: -13.859


Question: Look up the calculated formation energy of the second one.
Answer: -532 meV per atom